No. 1
! Ca3Mn2Sb2O12 (PBE+U, relaxed); values from VASP
&SYSTEM
  ibrav = 0, nat = 19, ntyp = 4
/
ATOMIC_SPECIES
Ca 40.08 Ca.upf
O 16.00 O.upf
Mn 54.94 Mn.upf
Sb 121.76 Sb.upf
CELL_PARAMETERS angstrom
7.772 0.000 0.000
0.000 5.407 0.000
0.000 0.028 5.435
ATOMIC_POSITIONS crystal
Ca 0.500 0.959 0.009
O 0.500 0.010 0.582
O 0.708 0.708 0.292
O 0.208 0.791 0.788
O 0.292 0.708 0.292
Ca 0.000 0.558 0.512
O 0.781 0.305 0.686
Mn 0.757 0.000 0.502
Sb 0.243 0.492 0.999
O 0.694 0.211 0.216
O 0.000 0.470 0.096
Sb 0.757 0.492 0.999
Mn 0.243 0.000 0.502
O 0.792 0.791 0.788
Ca 0.500 0.448 0.491
O 0.219 0.305 0.686
O 0.000 0.986 0.419
O 0.306 0.211 0.216
O 0.500 0.518 0.919
! Symmetry ... Pm (6)

---

No. 2
! Ca3Mn2SbO9 (PBE+U, relaxed); values from VASP
&SYSTEM
  ibrav = 0, nat = 60, ntyp = 4
/
ATOMIC_SPECIES
O 16.00 O.upf
Ca 40.08 Ca.upf
Mn 54.94 Mn.upf
Sb 121.76 Sb.upf
CELL_PARAMETERS angstrom
-2.917 4.673 0.885
-4.846 -3.839 4.562
9.185 3.865 13.103
ATOMIC_POSITIONS crystal
O 0.967 0.749 0.858
O 0.299 0.949 0.101
Ca 0.048 0.735 0.335
Mn 0.000 0.000 0.500
O 0.290 0.540 0.431
O 0.293 0.956 0.763
O 0.219 0.051 0.275
O 0.203 0.460 0.595
O 0.782 0.536 0.735
O 0.214 0.450 0.935
Ca 0.447 0.256 0.832
O 0.786 0.550 0.065
Mn 0.503 0.499 0.335
Ca 0.446 0.254 0.178
O 0.970 0.753 0.528
O 0.781 0.949 0.725
Ca 0.038 0.749 0.998
Sb 0.494 0.998 0.662
O 0.786 0.949 0.062
Sb 0.500 0.000 0.000
O 0.970 0.749 0.197
O 0.797 0.540 0.405
O 0.520 0.252 0.690
Ca 0.554 0.746 0.822
Mn 0.997 0.002 0.831
Ca 0.962 0.251 0.002
O 0.192 0.046 0.599
Mn 0.497 0.501 0.665
O 0.214 0.051 0.938
Ca 0.962 0.266 0.333
O 0.709 0.448 0.902
O 0.710 0.460 0.569
O 0.535 0.251 0.037
O 0.030 0.251 0.803
O 0.033 0.251 0.142
Ca 0.952 0.265 0.665
Sb 0.506 0.002 0.338
Ca 0.553 0.744 0.168
O 0.461 0.745 0.633
O 0.696 0.046 0.560
O 0.465 0.749 0.963
O 0.290 0.543 0.763
Ca 0.038 0.734 0.667
Mn 0.000 0.500 0.830
O 0.539 0.255 0.367
O 0.291 0.552 0.098
O 0.480 0.748 0.310
O 0.710 0.457 0.237
O 0.701 0.051 0.899
O 0.808 0.954 0.401
O 0.030 0.247 0.472
Sb 0.500 0.500 0.000
Mn 0.003 0.998 0.169
Ca 0.446 0.268 0.505
O 0.304 0.954 0.440
Mn 0.000 0.500 0.500
O 0.218 0.464 0.265
Mn 0.000 0.500 0.170
O 0.707 0.044 0.237
Ca 0.554 0.732 0.495
! Symmetry ... P-1 (2)

---

No. 3
Computed, not measured: a geometry-optimized Ca2MnSbO6 structure at the PBE+U level of DFT. Values from VASP.

Structure (Quantum ESPRESSO input):
```
&SYSTEM
  ibrav = 0, nat = 40, ntyp = 4
/
ATOMIC_SPECIES
O 16.00 O.upf
Mn 54.94 Mn.upf
Ca 40.08 Ca.upf
Sb 121.76 Sb.upf
CELL_PARAMETERS angstrom
5.559 -0.192 -0.022
-0.231 5.747 7.704
0.167 -5.677 7.655
ATOMIC_POSITIONS crystal
O 0.905 0.643 0.110
Mn 0.000 0.250 0.750
O 0.905 0.143 0.610
O 0.299 0.325 0.628
Ca 0.516 0.401 0.848
O 0.701 0.675 0.371
O 0.405 0.109 0.145
O 0.299 0.825 0.129
O 0.305 0.629 0.923
O 0.595 0.391 0.355
Mn 0.500 0.750 0.750
Ca 0.484 0.599 0.152
O 0.305 0.128 0.423
O 0.817 0.114 0.336
Ca 0.998 0.652 0.599
O 0.782 0.431 0.616
O 0.817 0.614 0.836
Sb 0.500 0.000 0.000
Sb 0.000 0.500 0.000
O 0.095 0.857 0.390
Sb 0.000 0.000 0.500
O 0.782 0.931 0.116
O 0.695 0.871 0.577
O 0.595 0.891 0.855
O 0.695 0.372 0.077
O 0.701 0.175 0.871
Mn 0.000 0.750 0.250
Ca 0.002 0.848 0.901
O 0.183 0.886 0.664
O 0.218 0.069 0.884
Mn 0.500 0.250 0.250
O 0.095 0.357 0.890
Ca 0.998 0.151 0.099
Sb 0.500 0.500 0.500
Ca 0.002 0.349 0.401
Ca 0.516 0.901 0.348
O 0.218 0.569 0.384
O 0.183 0.386 0.164
O 0.405 0.610 0.645
Ca 0.484 0.099 0.652
```

---

No. 4
! CaMnSi2O7 (PBE+U, relaxed); values from VASP
&SYSTEM
  ibrav = 0, nat = 44, ntyp = 4
/
ATOMIC_SPECIES
O 16.00 O.upf
Si 28.09 Si.upf
Ca 40.08 Ca.upf
Mn 54.94 Mn.upf
CELL_PARAMETERS angstrom
1.028 -6.115 7.181
7.500 -4.783 3.299
4.632 2.555 8.599
ATOMIC_POSITIONS crystal
O 0.969 0.898 0.409
O 0.531 0.087 0.561
O 0.737 0.088 0.161
Si 0.805 0.453 0.400
O 0.912 0.263 0.339
Ca 0.758 0.845 0.432
Mn 0.212 0.788 0.250
O 0.500 0.036 0.127
Si 0.129 0.528 0.195
O 0.087 0.531 0.061
Mn 0.788 0.212 0.750
O 0.964 0.500 0.373
O 0.036 0.500 0.627
Si 0.528 0.129 0.695
O 0.898 0.969 0.909
Si 0.472 0.871 0.305
O 0.469 0.913 0.439
O 0.912 0.261 0.823
O 0.102 0.031 0.091
O 0.500 0.964 0.873
O 0.551 0.323 0.912
O 0.336 0.348 0.725
O 0.664 0.652 0.275
Mn 0.000 0.000 0.000
O 0.261 0.912 0.323
Si 0.195 0.547 0.600
Ca 0.845 0.758 0.932
O 0.088 0.737 0.661
Si 0.871 0.472 0.805
O 0.348 0.336 0.225
O 0.031 0.102 0.591
Si 0.453 0.805 0.900
O 0.739 0.088 0.677
Ca 0.242 0.155 0.568
O 0.652 0.664 0.775
O 0.263 0.912 0.839
O 0.323 0.551 0.412
Mn 0.000 0.000 0.500
O 0.449 0.677 0.088
O 0.913 0.469 0.939
O 0.677 0.449 0.588
Si 0.547 0.195 0.100
O 0.088 0.739 0.177
Ca 0.155 0.242 0.068
! Symmetry ... C2/c (15)

---

No. 5
! CaMn2Si4O12 (PBE+U, relaxed); values from VASP
&SYSTEM
  ibrav = 0, nat = 19, ntyp = 4
/
ATOMIC_SPECIES
O 16.00 O.upf
Si 28.09 Si.upf
Mn 54.94 Mn.upf
Ca 40.08 Ca.upf
CELL_PARAMETERS angstrom
5.176 0.113 1.139
1.364 6.526 0.606
0.167 0.000 6.692
ATOMIC_POSITIONS crystal
O 0.813 0.885 0.385
O 0.007 0.367 0.333
O 0.005 0.648 0.660
O 0.292 0.394 0.910
Si 0.229 0.617 0.802
Si 0.720 0.802 0.620
O 0.620 0.965 0.808
O 0.493 0.667 0.633
Si 0.780 0.380 0.198
O 0.880 0.192 0.035
O 0.495 0.340 0.352
Si 0.271 0.198 0.383
O 0.687 0.615 0.115
O 0.373 0.025 0.199
Mn 0.250 0.111 0.889
Mn 0.750 0.909 0.091
O 0.208 0.090 0.606
Ca 0.250 0.694 0.306
O 0.127 0.801 0.975
! Symmetry ... C2 (5)

---

No. 6
! Ca4Mn6Si5O28 (PBE+U, relaxed); values from VASP
&SYSTEM
  ibrav = 0, nat = 43, ntyp = 4
/
ATOMIC_SPECIES
Ca 40.08 Ca.upf
Mn 54.94 Mn.upf
O 16.00 O.upf
Si 28.09 Si.upf
CELL_PARAMETERS angstrom
3.061 -4.373 0.000
3.061 4.373 0.000
0.000 0.000 19.651
ATOMIC_POSITIONS crystal
Ca 0.693 0.307 0.101
Mn 0.000 0.503 0.251
O 0.966 0.034 0.930
Mn 0.497 0.000 0.251
O 0.443 0.557 0.061
O 0.583 0.417 0.430
O 0.906 0.658 0.831
O 0.583 0.417 0.570
O 0.867 0.133 0.198
O 0.095 0.351 0.667
Mn 0.685 0.793 0.000
O 0.966 0.034 0.070
O 0.649 0.905 0.667
Si 0.028 0.972 0.848
Mn 0.497 0.000 0.749
Mn 0.000 0.503 0.749
O 0.636 0.364 0.721
O 0.867 0.133 0.802
Si 0.966 0.034 0.349
O 0.507 0.079 0.000
Ca 0.304 0.696 0.587
O 0.342 0.094 0.831
O 0.906 0.658 0.169
O 0.574 0.959 0.500
O 0.921 0.493 0.000
O 0.131 0.869 0.694
Mn 0.207 0.315 0.000
O 0.362 0.638 0.778
Si 0.898 0.102 0.500
Ca 0.693 0.307 0.899
O 0.443 0.557 0.939
O 0.342 0.094 0.169
Ca 0.304 0.696 0.413
Si 0.028 0.972 0.152
O 0.362 0.638 0.222
O 0.016 0.984 0.569
O 0.095 0.351 0.333
O 0.636 0.364 0.279
O 0.016 0.984 0.431
O 0.649 0.905 0.333
O 0.131 0.869 0.306
Si 0.966 0.034 0.651
O 0.041 0.426 0.500
! Symmetry ... Amm2 (38)

---

No. 7
Computed, not measured: a geometry-optimized CaMnSi2O6 structure at the PBE+U level of DFT. Values from VASP.

Structure (Quantum ESPRESSO input):
```
&SYSTEM
  ibrav = 0, nat = 40, ntyp = 4
/
ATOMIC_SPECIES
O 16.00 O.upf
Mn 54.94 Mn.upf
Ca 40.08 Ca.upf
Si 28.09 Si.upf
CELL_PARAMETERS angstrom
5.237 -0.087 1.153
-3.967 6.833 6.222
-1.499 -6.616 6.310
ATOMIC_POSITIONS crystal
O 0.034 0.880 0.093
O 0.466 0.620 0.407
O 0.657 0.652 0.017
O 0.535 0.864 0.258
O 0.466 0.120 0.093
O 0.343 0.348 0.983
O 0.535 0.364 0.242
Mn 0.250 0.000 0.904
O 0.965 0.136 0.258
O 0.157 0.152 0.517
Ca 0.750 0.500 0.799
Mn 0.750 0.000 0.096
O 0.843 0.348 0.017
Ca 0.250 0.000 0.299
O 0.343 0.848 0.517
O 0.534 0.380 0.593
Si 0.047 0.788 0.591
O 0.657 0.152 0.483
Si 0.547 0.788 0.409
Mn 0.750 0.500 0.404
Si 0.047 0.288 0.909
Ca 0.250 0.500 0.201
Si 0.953 0.212 0.409
O 0.035 0.864 0.742
O 0.965 0.636 0.242
O 0.465 0.136 0.742
O 0.035 0.364 0.758
Ca 0.750 0.000 0.701
Si 0.547 0.288 0.091
Mn 0.250 0.500 0.596
Si 0.453 0.212 0.591
O 0.843 0.848 0.483
O 0.157 0.652 0.983
Si 0.953 0.712 0.091
O 0.034 0.380 0.407
O 0.465 0.636 0.758
O 0.966 0.120 0.907
O 0.966 0.620 0.593
Si 0.453 0.712 0.909
O 0.534 0.880 0.907
```

---

No. 8
! CaMnSiO4 (PBE+U, relaxed); values from VASP
&SYSTEM
  ibrav = 0, nat = 28, ntyp = 4
/
ATOMIC_SPECIES
Si 28.09 Si.upf
O 16.00 O.upf
Ca 40.08 Ca.upf
Mn 54.94 Mn.upf
CELL_PARAMETERS angstrom
4.995 0.000 0.000
0.000 6.595 0.000
0.000 0.000 11.248
ATOMIC_POSITIONS crystal
Si 0.915 0.750 0.415
O 0.230 0.250 0.450
O 0.770 0.750 0.550
Ca 0.978 0.250 0.277
O 0.719 0.950 0.848
Mn 0.000 0.000 0.000
O 0.781 0.550 0.348
O 0.758 0.250 0.582
Ca 0.478 0.750 0.223
Mn 0.500 0.500 0.500
Si 0.415 0.250 0.085
O 0.719 0.550 0.848
Ca 0.522 0.250 0.777
O 0.730 0.750 0.050
O 0.242 0.750 0.418
O 0.281 0.050 0.152
Si 0.085 0.250 0.585
O 0.781 0.950 0.348
O 0.281 0.450 0.152
O 0.219 0.450 0.652
Mn 0.000 0.500 0.000
O 0.219 0.050 0.652
Mn 0.500 0.000 0.500
O 0.742 0.250 0.082
O 0.270 0.250 0.950
O 0.258 0.750 0.918
Ca 0.022 0.750 0.723
Si 0.585 0.750 0.915
! Symmetry ... Pnma (62)

---

No. 9
! CaMnSi2O6 (PBE+U, relaxed); values from VASP
&SYSTEM
  ibrav = 0, nat = 80, ntyp = 4
/
ATOMIC_SPECIES
Ca 40.08 Ca.upf
Mn 54.94 Mn.upf
O 16.00 O.upf
Si 28.09 Si.upf
CELL_PARAMETERS angstrom
-0.511 4.593 2.955
-2.759 -5.321 7.793
18.369 -1.487 5.488
ATOMIC_POSITIONS crystal
Ca 0.112 0.855 0.123
Mn 0.614 0.511 0.373
O 0.681 0.741 0.299
O 0.927 0.522 0.313
O 0.693 0.967 0.932
Ca 0.888 0.145 0.877
O 0.544 0.216 0.546
O 0.245 0.153 0.940
O 0.193 0.533 0.932
Ca 0.112 0.355 0.377
Si 0.259 0.168 0.525
Mn 0.886 0.511 0.873
O 0.255 0.153 0.440
Si 0.241 0.168 0.025
Mn 0.386 0.489 0.627
Si 0.759 0.332 0.525
Mn 0.386 0.989 0.873
Si 0.943 0.666 0.273
Si 0.057 0.834 0.773
O 0.819 0.241 0.701
O 0.456 0.784 0.454
Ca 0.612 0.145 0.377
O 0.245 0.653 0.560
Si 0.443 0.834 0.273
O 0.807 0.467 0.068
Ca 0.388 0.355 0.877
O 0.573 0.522 0.813
O 0.456 0.284 0.046
O 0.681 0.241 0.201
Si 0.557 0.666 0.773
O 0.958 0.157 0.312
O 0.927 0.022 0.187
O 0.044 0.284 0.546
O 0.319 0.759 0.799
O 0.542 0.657 0.688
O 0.573 0.022 0.687
O 0.458 0.843 0.188
O 0.255 0.653 0.060
Si 0.259 0.668 0.975
Si 0.241 0.668 0.475
O 0.073 0.478 0.687
O 0.044 0.784 0.954
Ca 0.612 0.645 0.123
Mn 0.114 0.489 0.127
O 0.193 0.033 0.568
O 0.745 0.347 0.940
O 0.544 0.716 0.954
Ca 0.888 0.645 0.623
O 0.755 0.847 0.060
O 0.307 0.533 0.432
Si 0.759 0.832 0.975
O 0.819 0.741 0.799
O 0.755 0.347 0.440
O 0.807 0.967 0.432
O 0.042 0.343 0.812
O 0.319 0.259 0.701
O 0.956 0.216 0.046
Mn 0.114 0.989 0.373
Si 0.557 0.166 0.727
O 0.427 0.478 0.187
O 0.181 0.259 0.201
O 0.956 0.716 0.454
O 0.073 0.978 0.813
O 0.181 0.759 0.299
Si 0.057 0.334 0.727
Mn 0.886 0.011 0.627
O 0.958 0.657 0.188
Ca 0.388 0.855 0.623
O 0.745 0.847 0.560
O 0.458 0.343 0.312
Si 0.741 0.332 0.025
Si 0.741 0.832 0.475
O 0.427 0.978 0.313
O 0.307 0.033 0.068
O 0.693 0.467 0.568
Si 0.943 0.166 0.227
O 0.042 0.843 0.688
Mn 0.614 0.011 0.127
O 0.542 0.157 0.812
Si 0.443 0.334 0.227
! Symmetry ... Pbca (61)

---

| no. | V (Å³/atom) | E_form (eV per formula unit) |
| --- | --- | --- |
| 1 | 12.0 | -44.32 |
| 2 | 11.8 | -38.42 |
| 3 | 12.2 | -26.09 |
| 4 | 12.4 | -31.48 |
| 5 | 11.8 | -55.58 |
| 6 | 12.2 | -101.48 |
| 7 | 12.1 | -31.13 |
| 8 | 13.2 | -21.38 |
| 9 | 13.0 | -30.79 |